Here is crystalline CuH20N6OF2 at its relaxed geometry from the Materials Project database. Energies are from GGA-PBE.

Calculated values
SG: P3_221
E in eV/atom: -4.94
Total magnetization in μB/cell: 3.00
Energy of formation in eV/f.u.: -19.12

a = 6.729 Å, b = 6.729 Å, c = 18.621 Å
α = 90.00°, β = 90.00°, γ = 120.00°
Atoms (fractional coordinates):
Cu: 0.000 0.465 0.333
Cu: 0.465 0.000 0.667
Cu: 0.535 0.535 0.000
H: 0.019 0.745 0.667
H: 0.069 0.160 0.532
H: 0.085 0.351 0.998
H: 0.090 0.931 0.866
H: 0.100 0.865 0.586
H: 0.123 0.636 0.608
H: 0.134 0.832 0.251
H: 0.135 0.236 0.253
H: 0.160 0.069 0.468
H: 0.168 0.301 0.918
H: 0.175 0.521 0.490
H: 0.202 0.559 0.936
H: 0.215 0.616 0.765
H: 0.229 0.510 0.114
H: 0.236 0.135 0.747
H: 0.255 0.274 0.334
H: 0.265 0.915 0.331
H: 0.274 0.255 0.666
H: 0.282 0.771 0.447
H: 0.301 0.168 0.082
H: 0.346 0.825 0.823
H: 0.351 0.085 0.002
H: 0.357 0.798 0.269
H: 0.364 0.487 0.275
H: 0.384 0.599 0.432
H: 0.401 0.785 0.099
H: 0.441 0.643 0.603
H: 0.479 0.654 0.157
H: 0.487 0.364 0.725
H: 0.490 0.718 0.780
H: 0.510 0.229 0.886
H: 0.513 0.877 0.942
H: 0.521 0.175 0.510
H: 0.559 0.202 0.064
H: 0.599 0.384 0.568
H: 0.616 0.215 0.235
H: 0.636 0.123 0.392
H: 0.643 0.441 0.397
H: 0.649 0.735 0.664
H: 0.654 0.479 0.843
H: 0.699 0.866 0.585
H: 0.718 0.490 0.220
H: 0.726 0.981 0.001
H: 0.735 0.649 0.336
H: 0.745 0.019 0.333
H: 0.764 0.900 0.920
H: 0.771 0.282 0.553
H: 0.785 0.401 0.901
H: 0.798 0.357 0.731
H: 0.825 0.346 0.177
H: 0.832 0.134 0.749
H: 0.840 0.910 0.199
H: 0.865 0.100 0.414
H: 0.866 0.699 0.415
H: 0.877 0.513 0.058
H: 0.900 0.764 0.080
H: 0.910 0.840 0.801
H: 0.915 0.265 0.669
H: 0.931 0.090 0.134
H: 0.981 0.726 0.999
N: 0.139 0.787 0.627
N: 0.208 0.421 0.957
N: 0.213 0.352 0.294
N: 0.213 0.792 0.291
N: 0.237 0.602 0.442
N: 0.352 0.213 0.706
N: 0.365 0.763 0.775
N: 0.398 0.635 0.108
N: 0.421 0.208 0.043
N: 0.579 0.787 0.624
N: 0.602 0.237 0.558
N: 0.635 0.398 0.892
N: 0.648 0.861 0.961
N: 0.763 0.365 0.225
N: 0.787 0.139 0.373
N: 0.787 0.579 0.376
N: 0.792 0.213 0.709
N: 0.861 0.648 0.039
O: 0.000 0.975 0.833
O: 0.025 0.025 0.500
O: 0.975 0.000 0.167
F: 0.121 0.365 0.590
F: 0.244 0.879 0.923
F: 0.365 0.121 0.410
F: 0.635 0.756 0.256
F: 0.756 0.635 0.744
F: 0.879 0.244 0.077